(1)
# GGA+U Li5V3P8O29, optimized geometry
# Energy of formation from the pure elements = -117.84 eV per formula unit
# Magnetization = 4.00 Bohr magnetons per cell
# Calculated density = 2.6 Mg/m³
data_Li5V3P8O29
_cell_length_a 9.7287
_cell_length_b 9.7788
_cell_length_c 14.1269
_cell_angle_alpha 89.14
_cell_angle_beta 89.40
_cell_angle_gamma 60.43
_space_group_name_H-M_alt 'P 1'
_space_group_IT_number 1
loop_
_space_group_symop_operation_xyz
'x,y,z'
loop_
_atom_site_label
_atom_site_fract_x
_atom_site_fract_y
_atom_site_fract_z
_atom_site_occupancy
Li1 0.0000 0.0000 0.0000 1
Li2 0.0009 0.5661 0.5093 1
Li3 0.0908 0.8146 0.3908 1
Li4 0.4295 0.0053 0.5109 1
Li5 0.4380 0.1355 0.0024 1
Li6 0.5286 0.2413 0.3904 1
Li7 0.6679 0.2395 0.8798 1
Li8 0.7685 0.8980 0.4563 1
Li9 0.7881 0.8584 0.9377 1
Li10 0.8653 0.5656 0.0047 1
V1 0.1994 0.4735 0.7007 1
V2 0.2008 0.9075 0.1970 1
V3 0.3278 0.3417 0.1909 1
V4 0.3286 0.9046 0.6995 1
V5 0.7616 0.4742 0.2019 1
V6 0.7691 0.3438 0.6897 1
P1 0.0703 0.6865 0.1069 1
P2 0.0730 0.8196 0.6046 1
P3 0.0914 0.2432 0.0777 1
P4 0.1038 0.2414 0.5785 1
P5 0.4287 0.5697 0.3141 1
P6 0.4347 0.5683 0.8141 1
P7 0.4511 0.1301 0.7871 1
P8 0.4517 0.9946 0.2914 1
P9 0.5384 0.2232 0.6050 1
P10 0.5472 0.8226 0.1089 1
P11 0.6793 0.2237 0.1006 1
P12 0.6804 0.6912 0.6079 1
P13 0.8461 0.1263 0.2853 1
P14 0.8494 0.5934 0.7906 1
P15 0.9827 0.9942 0.7871 1
P16 0.9932 0.5901 0.2905 1
O1 0.0182 0.9881 0.2867 1
O2 0.0225 0.5615 0.7778 1
O3 0.0780 0.2589 0.9726 1
O4 0.0836 0.0972 0.1171 1
O5 0.0948 0.3934 0.6223 1
O6 0.1036 0.2552 0.4733 1
O7 0.1059 0.6459 0.6105 1
O8 0.1060 0.8247 0.1064 1
O9 0.1401 0.9960 0.7738 1
O10 0.1453 0.4348 0.2754 1
O11 0.2264 0.5274 0.1162 1
O12 0.2267 0.8259 0.6144 1
O13 0.2503 0.2308 0.1134 1
O14 0.2552 0.0946 0.6167 1
O15 0.2762 0.7183 0.2758 1
O16 0.2841 0.5697 0.7673 1
O17 0.2943 0.2876 0.7738 1
O18 0.2938 0.9946 0.2738 1
O19 0.3789 0.3761 0.6189 1
O20 0.3873 0.8280 0.1163 1
O21 0.4205 0.9910 0.7862 1
O22 0.4229 0.1653 0.2784 1
O23 0.4260 0.5631 0.9189 1
O24 0.4359 0.5650 0.4191 1
O25 0.4358 0.7141 0.7697 1
O26 0.4388 0.4184 0.2721 1
O27 0.5082 0.8295 0.6075 1
O28 0.5101 0.2462 0.1020 1
O29 0.5269 0.9288 0.3847 1
O30 0.5365 0.1327 0.8753 1
O31 0.5386 0.1351 0.5176 1
O32 0.5600 0.1124 0.6967 1
O33 0.5681 0.9114 0.0281 1
O34 0.5686 0.8949 0.2073 1
O35 0.5758 0.5762 0.2671 1
O36 0.5801 0.4175 0.7731 1
O37 0.6750 0.2561 0.6053 1
O38 0.6767 0.3798 0.1206 1
O39 0.6832 0.5329 0.6132 1
O40 0.6860 0.6488 0.1105 1
O41 0.7524 0.1146 0.3661 1
O42 0.7524 0.7130 0.7065 1
O43 0.7639 0.1464 0.0105 1
O44 0.7721 0.1068 0.1874 1
O45 0.7754 0.7078 0.5287 1
O46 0.7860 0.6741 0.8830 1
O47 0.8410 0.1618 0.7808 1
O48 0.8433 0.2869 0.2752 1
O49 0.8461 0.4401 0.7789 1
O50 0.8481 0.5643 0.2814 1
O51 0.9491 0.3938 0.1248 1
O52 0.9570 0.2359 0.6232 1
O53 0.9656 0.6973 0.0274 1
O54 0.9659 0.9034 0.6963 1
O55 0.9724 0.9167 0.8775 1
O56 0.9750 0.7083 0.2050 1
O57 0.9831 0.8901 0.5147 1
O58 0.9866 0.6740 0.3804 1

(2)
# GGA+U LiVP4O12, optimized geometry
# Energy of formation from the pure elements = -47.42 eV per formula unit
# Magnetization = 4.00 Bohr magnetons per cell
# Calculated density = 2.4 Mg/m³
data_LiVP4O12
_cell_length_a 5.2690
_cell_length_b 13.7346
_cell_length_c 7.2633
_cell_angle_alpha 90.00
_cell_angle_beta 97.26
_cell_angle_gamma 90.00
_space_group_name_H-M_alt 'P 1 21 1'
_space_group_IT_number 4
loop_
_space_group_symop_operation_xyz
'x,y,z'
'-x,y+1/2,-z'
loop_
_atom_site_label
_atom_site_fract_x
_atom_site_fract_y
_atom_site_fract_z
_atom_site_occupancy
Li1 0.1188 0.0000 0.1138 1
V1 0.0142 0.2283 0.5070 1
P1 0.2793 0.8119 0.8847 1
P2 0.3612 0.1634 0.8984 1
P3 0.4690 0.5902 0.4488 1
P4 0.4963 0.3678 0.4542 1
O1 0.1119 0.7419 0.7625 1
O2 0.1352 0.2066 0.7756 1
O3 0.1550 0.8915 0.9768 1
O4 0.1964 0.6016 0.4896 1
O5 0.2242 0.3523 0.4936 1
O6 0.2932 0.8118 0.4346 1
O7 0.3149 0.1036 0.0599 1
O8 0.3293 0.1532 0.4486 1
O9 0.4356 0.9807 0.5048 1
O10 0.4510 0.7527 0.0434 1
O11 0.4687 0.5978 0.2277 1
O12 0.4948 0.8571 0.7651 1

(3)
# GGA+U LiV4P7O24, optimized geometry
# Energy of formation from the pure elements = -95.73 eV per formula unit
# Magnetization = 16.00 Bohr magnetons per cell
# Calculated density = 2.9 Mg/m³
data_LiV4P7O24
_cell_length_a 10.2409
_cell_length_b 10.3778
_cell_length_c 10.8230
_cell_angle_alpha 109.05
_cell_angle_beta 111.47
_cell_angle_gamma 104.78
_space_group_name_H-M_alt 'P -1'
_space_group_IT_number 2
loop_
_space_group_symop_operation_xyz
'x,y,z'
'-x,-y,-z'
loop_
_atom_site_label
_atom_site_fract_x
_atom_site_fract_y
_atom_site_fract_z
_atom_site_occupancy
Li1 0.0454 0.2463 0.1720 1
V1 0.0007 0.1051 0.7561 1
V2 0.0118 0.6628 0.3862 1
V3 0.4848 0.8294 0.9112 1
V4 0.4990 0.6141 0.4250 1
P1 0.2326 0.1784 0.6165 1
P2 0.2396 0.9670 0.7420 1
P3 0.2491 0.5404 0.5513 1
P4 0.2512 0.6101 0.9794 1
P5 0.2734 0.7820 0.2746 1
P6 0.3015 0.0586 0.2372 1
P7 0.3073 0.3775 0.0661 1
O1 0.1068 0.5095 0.8307 1
O2 0.1207 0.2189 0.6737 1
O3 0.1241 0.9836 0.1576 1
O4 0.1237 0.9904 0.7965 1
O5 0.1317 0.2779 0.9637 1
O6 0.1348 0.4087 0.5478 1
O7 0.1352 0.7806 0.3011 1
O8 0.1439 0.0611 0.4535 1
O9 0.1534 0.5652 0.4202 1
O10 0.1635 0.8268 0.5961 1
O11 0.1918 0.6634 0.0994 1
O12 0.3136 0.1076 0.7182 1
O13 0.3355 0.4392 0.2278 1
O14 0.3378 0.6788 0.7054 1
O15 0.3482 0.5225 0.0324 1
O16 0.3536 0.7526 0.9934 1
O17 0.3561 0.0664 0.1269 1
O18 0.3613 0.9437 0.2950 1
O19 0.3658 0.3173 0.6574 1
O20 0.3722 0.2083 0.3743 1
O21 0.3716 0.4982 0.5104 1
O22 0.3812 0.9787 0.8718 1
O23 0.3864 0.7445 0.3713 1
O24 0.4105 0.3059 0.0380 1

(4)
# GGA+U Li9V3P8O29, optimized geometry
# Energy of formation from the pure elements = -132.42 eV per formula unit
# Magnetization = 12.00 Bohr magnetons per cell
# Calculated density = 2.6 Mg/m³
data_Li9V3P8O29
_cell_length_a 9.8895
_cell_length_b 9.9033
_cell_length_c 13.7893
_cell_angle_alpha 90.09
_cell_angle_beta 90.01
_cell_angle_gamma 119.84
_space_group_name_H-M_alt 'P 1'
_space_group_IT_number 1
loop_
_space_group_symop_operation_xyz
'x,y,z'
loop_
_atom_site_label
_atom_site_fract_x
_atom_site_fract_y
_atom_site_fract_z
_atom_site_occupancy
Li1 0.0000 0.0000 0.0000 1
Li2 0.9999 0.4361 0.5411 1
Li3 0.0031 0.8676 0.4845 1
Li4 0.0951 0.1980 0.3493 1
Li5 0.1036 0.7751 0.8625 1
Li6 0.2355 0.7685 0.3588 1
Li7 0.3383 0.0977 0.4126 1
Li8 0.3476 0.0911 0.9382 1
Li9 0.4334 0.4314 0.4856 1
Li10 0.4370 0.8692 0.9945 1
Li11 0.5687 0.0052 0.4843 1
Li12 0.5753 0.4398 0.9886 1
Li13 0.6610 0.1939 0.8628 1
Li14 0.6679 0.7657 0.8069 1
Li15 0.6688 0.3339 0.3600 1
Li16 0.6820 0.7885 0.3013 1
Li17 0.8965 0.0985 0.1742 1
Li18 0.9986 0.4121 0.0490 1
V1 0.2222 0.3569 0.8724 1
V2 0.3352 0.6681 0.1750 1
V3 0.3383 0.5393 0.6677 1
V4 0.7679 0.0999 0.6728 1
V5 0.7695 0.5357 0.1751 1
V6 0.8993 0.6687 0.6746 1
P1 0.0006 0.4326 0.7994 1
P2 0.0037 0.4414 0.3010 1
P3 0.0188 0.0136 0.7676 1
P4 0.0186 0.8755 0.2689 1
P5 0.1071 0.7843 0.0805 1
P6 0.1075 0.1909 0.5777 1
P7 0.2442 0.3252 0.0834 1
P8 0.2448 0.7870 0.5791 1
P9 0.4237 0.8737 0.7691 1
P10 0.4259 0.4180 0.2698 1
P11 0.5610 0.0113 0.2693 1
P12 0.5615 0.4177 0.7691 1
P13 0.6513 0.3290 0.5807 1
P14 0.6522 0.1927 0.0800 1
P15 0.6677 0.7611 0.0476 1
P16 0.6698 0.7690 0.5459 1
O1 0.0019 0.0175 0.2706 1
O2 0.0040 0.5857 0.7718 1
O3 0.0085 0.8541 0.7695 1
O4 0.0106 0.2996 0.2678 1
O5 0.0323 0.4241 0.9078 1
O6 0.0840 0.7742 0.5811 1
O7 0.0875 0.1819 0.0762 1
O8 0.1037 0.0969 0.4901 1
O9 0.1060 0.8646 0.3575 1
O10 0.1064 0.8746 0.9910 1
O11 0.1092 0.1090 0.8565 1
O12 0.1202 0.1031 0.6738 1
O13 0.1223 0.8857 0.1744 1
O14 0.1407 0.4255 0.7492 1
O15 0.1466 0.5943 0.2634 1
O16 0.2251 0.6227 0.5876 1
O17 0.2301 0.4736 0.0917 1
O18 0.2523 0.7667 0.0773 1
O19 0.2565 0.3509 0.5775 1
O20 0.3333 0.8734 0.8584 1
O21 0.3337 0.8860 0.6750 1
O22 0.3350 0.3250 0.3583 1
O23 0.3363 0.3135 0.1763 1
O24 0.3377 0.8778 0.4913 1
O25 0.3468 0.3374 0.9944 1
O26 0.4083 0.8522 0.2661 1
O27 0.4102 0.4283 0.7700 1
O28 0.4408 0.7277 0.7589 1
O29 0.4431 0.5797 0.2599 1
O30 0.5211 0.7669 0.0851 1
O31 0.5256 0.6158 0.5853 1
O32 0.5461 0.3158 0.6742 1
O33 0.5484 0.1016 0.9927 1
O34 0.5508 0.1034 0.3568 1
O35 0.5517 0.1035 0.1745 1
O36 0.5654 0.3352 0.4913 1
O37 0.5673 0.3302 0.8576 1
O38 0.5850 0.0208 0.7687 1
O39 0.5885 0.4320 0.2694 1
O40 0.6488 0.7264 0.9393 1
O41 0.6592 0.9123 0.5851 1
O42 0.6606 0.3538 0.0826 1
O43 0.6618 0.1797 0.5805 1
O44 0.6626 0.6100 0.0965 1
O45 0.6692 0.7657 0.4371 1
O46 0.7018 0.5822 0.7566 1
O47 0.7021 0.9918 0.2654 1
O48 0.8121 0.2103 0.0808 1
O49 0.8154 0.4713 0.5952 1
O50 0.8179 0.9029 0.0781 1
O51 0.8217 0.7776 0.5869 1
O52 0.8457 0.2894 0.7660 1
O53 0.8514 0.4377 0.2524 1
O54 0.8540 0.9919 0.7585 1
O55 0.8558 0.7255 0.2557 1
O56 0.9587 0.6215 0.0897 1
O57 0.9636 0.2120 0.5897 1
O58 0.9827 0.4527 0.4091 1

(5)
# GGA+U Li5V3P8O29, optimized geometry
# Energy of formation from the pure elements = -117.69 eV per formula unit
# Magnetization = 4.00 Bohr magnetons per cell
# Calculated density = 2.5 Mg/m³
data_Li5V3P8O29
_cell_length_a 9.7981
_cell_length_b 9.8015
_cell_length_c 14.0860
_cell_angle_alpha 89.92
_cell_angle_beta 88.71
_cell_angle_gamma 60.11
_space_group_name_H-M_alt 'P 1'
_space_group_IT_number 1
loop_
_space_group_symop_operation_xyz
'x,y,z'
loop_
_atom_site_label
_atom_site_fract_x
_atom_site_fract_y
_atom_site_fract_z
_atom_site_occupancy
Li1 0.0000 0.0000 0.0000 1
Li2 0.0044 0.1365 0.4950 1
Li3 0.0936 0.2283 0.8789 1
Li4 0.2266 0.6769 0.8766 1
Li5 0.3206 0.8988 0.4289 1
Li6 0.5514 0.5917 0.9947 1
Li7 0.6328 0.2510 0.3248 1
Li8 0.6381 0.8205 0.8684 1
Li9 0.6500 0.6708 0.3718 1
Li10 0.9944 0.5827 0.5432 1
V1 0.3205 0.3367 0.1877 1
V2 0.3303 0.4685 0.6760 1
V3 0.7538 0.9106 0.6824 1
V4 0.7560 0.4756 0.1832 1
V5 0.8925 0.9011 0.1862 1
V6 0.8955 0.3363 0.6854 1
P1 0.0001 0.1320 0.2784 1
P2 0.0034 0.9910 0.7796 1
P3 0.0968 0.2220 0.0983 1
P4 0.1068 0.8175 0.5953 1
P5 0.2401 0.6725 0.0921 1
P6 0.2444 0.2104 0.5874 1
P7 0.4041 0.1382 0.7742 1
P8 0.4057 0.6033 0.2766 1
P9 0.5438 0.9915 0.2714 1
P10 0.5529 0.5868 0.7713 1
P11 0.6449 0.8205 0.0865 1
P12 0.6473 0.6772 0.5903 1
P13 0.6610 0.2391 0.0650 1
P14 0.6658 0.2346 0.5615 1
P15 0.9879 0.5763 0.3071 1
P16 0.9913 0.5738 0.8030 1
O1 0.0050 0.5743 0.9082 1
O2 0.0688 0.2473 0.5970 1
O3 0.0715 0.9074 0.8709 1
O4 0.0749 0.8210 0.0942 1
O5 0.0829 0.1252 0.3671 1
O6 0.0852 0.1485 0.0078 1
O7 0.1133 0.1129 0.1869 1
O8 0.1221 0.9118 0.5171 1
O9 0.1239 0.8895 0.6949 1
O10 0.1392 0.5721 0.7519 1
O11 0.1400 0.4248 0.2633 1
O12 0.2324 0.5219 0.1139 1
O13 0.2359 0.3747 0.5985 1
O14 0.2434 0.2427 0.1027 1
O15 0.2477 0.6448 0.5967 1
O16 0.3108 0.1499 0.8608 1
O17 0.3216 0.1142 0.5014 1
O18 0.3230 0.1149 0.6819 1
O19 0.3238 0.7098 0.3582 1
O20 0.3247 0.6628 0.9999 1
O21 0.3345 0.6924 0.1774 1
O22 0.4049 0.5675 0.7710 1
O23 0.4061 0.1666 0.2721 1
O24 0.4117 0.2903 0.7509 1
O25 0.4140 0.4405 0.2702 1
O26 0.5096 0.2493 0.1167 1
O27 0.5145 0.3874 0.6064 1
O28 0.5235 0.9240 0.1711 1
O29 0.5305 0.8962 0.3495 1
O30 0.5346 0.6937 0.6811 1
O31 0.5630 0.6635 0.8612 1
O32 0.5672 0.6823 0.5010 1
O33 0.5718 0.9932 0.7725 1
O34 0.5816 0.5664 0.2708 1
O35 0.5836 0.8931 0.9934 1
O36 0.6551 0.0964 0.6053 1
O37 0.6569 0.3949 0.0999 1
O38 0.6604 0.2408 0.4555 1
O39 0.6602 0.6549 0.0950 1
O40 0.6616 0.2339 0.9596 1
O41 0.6713 0.8215 0.6014 1
O42 0.6954 0.0032 0.2667 1
O43 0.7034 0.4263 0.7525 1
O44 0.8034 0.8087 0.1121 1
O45 0.8094 0.0923 0.1052 1
O46 0.8106 0.5301 0.6052 1
O47 0.8156 0.2337 0.5967 1
O48 0.8386 0.2807 0.2640 1
O49 0.8394 0.5734 0.2732 1
O50 0.8387 0.7200 0.7662 1
O51 0.8454 0.0020 0.7562 1
O52 0.9480 0.3840 0.1165 1
O53 0.9555 0.8056 0.6009 1
O54 0.9768 0.9875 0.2685 1
O55 0.9891 0.1554 0.7756 1
O56 0.9895 0.5776 0.4131 1
O57 0.9944 0.4188 0.7679 1
O58 0.9970 0.7142 0.2609 1